14
Lattice="5.212 0.056 2.964 1.789 4.896 2.965 -0.001 0.001 5.928" Properties=species:S:1:pos:R:3 comment="Mg2VO4 (PBE+U, optimized geometry)" delta_e_f_mev_per_atom=-2798 m_tot_mub_per_fu=1.0 spacegroup="I4_1/amd, No. 141" pbc="T T T"
Mg 4.395 4.924 7.411
Mg 6.106 2.504 7.411
Mg 3.500 2.477 8.893
Mg 3.500 2.477 5.929
V 0.875 0.619 1.482
V 6.126 4.334 10.375
O 5.214 3.688 8.898
O 1.787 1.264 5.933
O 2.605 3.664 4.446
O 4.322 1.236 4.447
O 4.395 1.288 7.411
O 2.678 3.717 7.410
O 1.787 1.265 2.959
O 5.214 3.689 5.924


5
Lattice="-0.712 2.621 -3.394 -3.060 -2.721 -1.459 -3.004 2.150 2.291" Properties=species:S:1:pos:R:3 comment="NiAgF3 (PBE+U, optimized geometry)" delta_e_f_mev_per_atom=-899 m_tot_mub_per_fu=1.1 spacegroup="Pm-3m, No. 221" pbc="T T T"
Ni -3.388 1.025 -1.281
Ag 0.000 0.000 0.000
F -0.356 1.311 -1.697
F -1.530 -1.360 -0.729
F -1.502 1.075 1.146


14
Lattice="-2.890 -2.382 -4.577 1.877 -5.012 -2.515 -3.039 -5.037 0.602" Properties=species:S:1:pos:R:3 comment="Li2Co3TeO8 (PBE+U, optimized geometry)" delta_e_f_mev_per_atom=-1538 m_tot_mub_per_fu=11.0 spacegroup="R-3m, No. 166" pbc="T T T"
Li -3.514 -10.781 -5.627
Li -0.538 -1.651 -0.862
Co -2.965 -3.710 -1.987
Co -0.506 -3.697 -3.546
Co -0.581 -5.025 -0.956
Te -2.026 -6.216 -3.245
O -2.964 -9.093 -4.746
O -1.672 -8.075 -2.701
O -1.604 -6.869 -5.054
O -3.838 -6.880 -3.637
O -0.215 -5.551 -2.852
O -2.448 -5.562 -1.435
O -2.380 -4.356 -3.788
O -1.088 -3.339 -1.743


64
Lattice="6.251 -6.343 0.000 6.251 6.343 0.000 0.000 0.000 12.963" Properties=species:S:1:pos:R:3 comment="Mn5Cu3Te16O40 (PBE+U, optimized geometry)" delta_e_f_mev_per_atom=-1550 m_tot_mub_per_fu=6.0 spacegroup="C222, No. 21" pbc="T T T"
Mn 6.251 0.000 3.250
Mn 0.000 0.000 3.249
Mn 0.000 0.000 9.714
Mn 6.251 0.000 9.713
Mn 6.251 0.000 0.000
Cu 0.000 0.000 0.000
Cu 0.000 0.000 6.481
Cu 6.251 0.000 6.481
Te 9.569 0.662 11.241
Te 5.606 2.992 11.230
Te 6.896 -2.992 11.230
Te 2.933 -0.662 11.241
Te 9.180 0.663 4.768
Te 5.602 3.379 4.771
Te 6.900 -3.379 4.771
Te 3.322 -0.663 4.768
Te 9.180 -0.663 8.195
Te 6.900 3.379 8.192
Te 5.602 -3.379 8.192
Te 3.322 0.663 8.195
Te 9.569 -0.662 1.722
Te 6.896 2.992 1.733
Te 5.606 -2.992 1.733
Te 2.933 0.662 1.722
O 8.471 -0.647 10.349
O 6.893 4.107 10.333
O 5.608 -4.107 10.333
O 4.031 0.647 10.349
O 10.270 -0.647 3.861
O 6.905 2.280 3.879
O 5.597 -2.280 3.879
O 2.232 0.647 3.861
O 10.270 0.647 9.102
O 5.597 2.280 9.084
O 6.905 -2.280 9.084
O 2.232 -0.647 9.102
O 8.471 0.647 2.614
O 5.608 4.107 2.630
O 6.893 -4.107 2.630
O 4.031 -0.647 2.614
O 5.838 -1.423 11.440
O 1.347 0.382 11.516
O 11.155 -0.382 11.516
O 6.664 1.423 11.440
O 6.629 4.984 5.031
O 7.588 -0.377 5.027
O 4.914 0.377 5.027
O 5.873 -4.984 5.031
O 6.629 -4.984 7.932
O 4.914 -0.377 7.935
O 7.588 0.377 7.935
O 5.873 4.984 7.932
O 5.838 1.423 1.523
O 11.155 0.382 1.447
O 1.347 -0.382 1.447
O 6.664 -1.423 1.523
O 6.251 3.787 0.000
O 8.710 0.000 0.000
O 3.792 0.000 0.000
O 6.251 -3.787 0.000
O 6.251 -2.561 6.481
O 2.514 0.000 6.481
O 9.988 0.000 6.481
O 6.251 2.561 6.481


24
Lattice="-4.100 -1.959 2.602 1.523 -2.327 -4.297 9.627 -6.800 4.314" Properties=species:S:1:pos:R:3 comment="Li3Fe2P4HO14 (PBE+U, optimized geometry)" delta_e_f_mev_per_atom=-2413 m_tot_mub_per_fu=8.0 spacegroup="P-1, No. 2" pbc="T T T"
Li 0.414 -2.225 -2.885
Li 4.814 -3.400 2.157
Li 6.636 -8.861 5.504
Fe 8.457 -7.360 -0.233
Fe -1.406 -3.726 2.852
P 5.432 -6.717 0.744
P 7.192 -7.749 2.825
P -0.141 -3.337 -0.205
P 1.619 -4.368 1.875
H 3.525 -5.543 1.310
O 6.490 -6.722 -0.353
O 8.053 -8.330 1.699
O 7.979 -6.906 3.844
O 6.253 -6.596 2.163
O 4.576 -5.441 0.738
O 0.808 -2.319 -0.873
O 4.609 -7.998 0.820
O 2.442 -3.088 1.799
O 6.243 -8.767 3.492
O 2.474 -5.645 1.881
O 0.797 -4.490 0.456
O -0.928 -4.180 -1.224
O -1.003 -2.756 0.920
O 0.561 -4.364 2.972


36
Lattice="5.883 0.000 0.000 1.320 7.294 0.000 2.206 0.462 9.529" Properties=species:S:1:pos:R:3 comment="Li3LaNiO4 (PBE+U, optimized geometry)" delta_e_f_mev_per_atom=-2298 m_tot_mub_per_fu=2.0 spacegroup="P-1, No. 2" pbc="T T T"
Li 7.061 5.929 1.188
Li 2.178 0.492 0.933
Li 1.116 3.345 1.227
Li 6.612 0.570 3.580
Li 5.445 3.351 3.835
Li 3.089 2.466 3.305
Li 6.320 5.291 6.224
Li 3.964 4.406 5.694
Li 2.797 7.187 5.949
Li 8.293 4.411 8.302
Li 7.231 7.265 8.597
Li 2.348 1.828 8.341
La 4.159 4.636 1.170
La 4.960 6.575 3.581
La 4.449 1.182 5.948
La 5.250 3.121 8.359
Ni 4.612 1.428 1.433
Ni 1.966 5.236 3.589
Ni 7.443 2.521 5.941
Ni 4.797 6.328 8.097
O 5.409 2.669 0.186
O 5.341 6.861 1.072
O 6.244 4.624 2.579
O 2.832 2.394 1.292
O 4.886 1.464 3.396
O 2.766 6.523 2.242
O 7.099 6.508 4.914
O 3.663 4.320 3.732
O 5.746 3.436 5.797
O 2.310 1.249 4.616
O 6.643 1.234 7.288
O 4.523 6.292 6.133
O 6.577 5.362 8.238
O 3.165 3.133 6.950
O 4.068 0.895 8.458
O 4.000 5.087 9.343


36
Lattice="5.239 0.000 0.000 0.000 9.104 0.000 0.000 0.000 9.929" Properties=species:S:1:pos:R:3 comment="Er2WO6 (PBE+U, optimized geometry)" delta_e_f_mev_per_atom=-3322 piezo_max_c_m2=0.61 spacegroup="P2_12_12_1, No. 19" pbc="T T T"
Er 2.541 5.497 5.307
Er 5.161 8.159 4.621
Er 2.698 0.945 9.586
Er 0.078 3.607 0.343
Er 5.022 7.113 8.651
Er 2.403 6.543 1.277
Er 0.217 2.561 6.242
Er 2.836 1.991 3.687
W 2.425 9.064 6.476
W 5.044 4.592 3.453
W 2.814 4.512 8.417
W 0.195 0.040 1.512
O 1.333 0.806 5.004
O 3.952 3.746 4.924
O 3.906 5.358 9.889
O 1.287 8.298 0.040
O 3.851 1.064 5.648
O 1.232 3.488 4.281
O 1.388 5.615 9.245
O 4.007 8.040 0.683
O 3.106 7.667 5.281
O 0.487 5.989 4.648
O 2.133 3.115 9.613
O 4.752 1.437 0.316
O 1.015 7.807 2.625
O 3.634 5.849 7.304
O 4.224 3.255 2.340
O 1.605 1.297 7.589
O 4.321 0.422 2.995
O 1.701 4.130 6.934
O 0.918 4.974 1.970
O 3.538 8.682 7.959
O 1.687 1.251 1.799
O 4.306 3.301 8.130
O 3.552 5.803 3.166
O 0.933 7.853 6.763


32
Lattice="-3.082 -1.698 4.895 -4.383 4.306 -4.913 1.431 -6.035 -4.839" Properties=species:S:1:pos:R:3 comment="Li2TiVO4 (PBE+U, optimized geometry)" delta_e_f_mev_per_atom=-2745 m_tot_mub_per_fu=0.5 spacegroup="C2/m, No. 12" pbc="T T T"
Li -6.028 -1.693 -2.428
Li -4.564 -4.296 -2.410
Li -3.098 -3.414 2.467
Li -1.460 0.852 -2.447
Li -1.487 -0.871 -4.888
Li -0.023 -3.450 -4.858
Li -2.930 1.721 -4.894
Li -6.024 -3.421 -4.844
Ti -4.471 0.872 -2.447
Ti -3.050 -1.730 -2.497
Ti -4.460 -2.562 -7.235
Ti -1.563 -4.299 -2.410
V -2.974 -0.045 0.001
V -1.584 -2.518 0.018
V -3.010 -3.473 -4.857
V -4.501 -0.819 -4.875
O -5.899 0.119 -3.615
O -4.445 -2.525 -3.600
O -2.951 -1.650 1.295
O -2.941 -5.141 -3.579
O -1.608 -0.912 -1.275
O -0.186 -3.457 -1.241
O -3.043 1.623 -1.277
O -3.065 -1.767 -6.132
O -4.453 -0.822 -1.303
O -3.007 -3.393 -1.286
O -5.916 1.762 -1.302
O -1.559 -5.982 -1.248
O -3.026 -0.019 -3.591
O -1.568 -2.616 -3.572
O -4.488 2.565 -3.590
O -0.120 -5.205 -3.534